La8Al4I7: relaxed, GGA-PBE.

abc: 4.331 18.139 25.547
angles: 77.19 85.17 83.14
Fractional positions:
La  0.771  0.871  0.081
La  0.854  0.428  0.577
La  0.235  0.514  0.065
La  0.880  0.743  0.474
La  0.750  0.561  0.188
La  0.980  0.904  0.755
La  0.961  0.303  0.978
La  0.799  0.101  0.702
La  0.201  0.899  0.298
La  0.250  0.439  0.812
La  0.492  0.953  0.877
La  0.509  0.262  0.763
La  0.371  0.780  0.602
La  0.146  0.572  0.423
La  0.020  0.096  0.245
La  0.765  0.486  0.935
La  0.039  0.697  0.022
La  0.491  0.738  0.237
La  0.508  0.047  0.123
La  0.120  0.257  0.526
La  0.435  0.411  0.359
La  0.565  0.589  0.641
La  0.629  0.220  0.398
La  0.229  0.129  0.919
I  0.176  0.547  0.295
I  0.601  0.867  0.401
I  0.824  0.453  0.705
I  0.112  0.294  0.652
I  0.754  0.735  0.701
I  0.227  0.168  0.042
I  0.930  0.110  0.469
I  0.246  0.265  0.299
I  0.038  0.421  0.190
I  0.399  0.133  0.599
I  0.500  0.000  0.000
I  0.070  0.890  0.531
I  0.416  0.058  0.343
I  0.773  0.832  0.958
I  0.584  0.942  0.657
I  0.716  0.200  0.171
I  0.531  0.377  0.057
I  0.284  0.800  0.829
I  0.469  0.623  0.943
I  0.888  0.706  0.348
I  0.962  0.579  0.810
Al  0.551  0.328  0.882
Al  0.787  0.134  0.822
Al  0.950  0.257  0.861
Al  0.449  0.672  0.118
Al  0.187  0.058  0.801
Al  0.050  0.743  0.139
Al  0.813  0.942  0.199
Al  0.178  0.633  0.546
Al  0.822  0.367  0.454
Al  0.423  0.442  0.477
Al  0.213  0.866  0.178
Al  0.577  0.558  0.523

The calculation puts the electronic total energy at -3.669 eV per atom. The value obtained for the energy of formation from the pure elements is -0.380 eV/atom. The relative energy among the computed polymorphs is 0.746 eV per atom. The calculation puts the mass density at 5.413 g/cm3. The calculation puts the total magnetization at 2.44 μB per cell.